[1]
Compound: CaLaAl3O7
Source: Materials Project
Functional: GGA-PBE
Structure: relaxed

The structure in CIF format:
```
data_CaLaAl3O7
_chemical_formula_sum 'Ca2 La2 Al6 O14'
_space_group_name_H-M_alt 'P 1 21 1'
_space_group_IT_number 4
_cell_length_a 5.206
_cell_length_b 7.875
_cell_length_c 7.871
_cell_angle_alpha 90.00
_cell_angle_beta 90.76
_cell_angle_gamma 90.00
loop_
_space_group_symop_operation_xyz
'x,y,z'
'-x,y+1/2,-z'
loop_
_atom_site_label
_atom_site_fract_x
_atom_site_fract_y
_atom_site_fract_z
Ca1 0.013 0.000 0.421
La1 0.013 0.674 0.095
Al1 0.458 0.191 0.603
Al2 0.461 0.479 0.890
Al3 0.500 0.335 0.249
O1 0.202 0.972 0.102
O2 0.205 0.690 0.384
O3 0.303 0.999 0.665
O4 0.305 0.422 0.083
O5 0.309 0.240 0.406
O6 0.310 0.676 0.847
O7 0.316 0.339 0.743
```

=====

[2]
Compound: CaLaAl3O7
Source: Materials Project
Functional: GGA-PBE
Structure: relaxed

The structure in CIF format:
```
data_CaLaAl3O7
_chemical_formula_sum 'Ca4 La4 Al12 O28'
_space_group_name_H-M_alt 'C m m 2'
_space_group_IT_number 35
_cell_length_a 10.991
_cell_length_b 11.238
_cell_length_c 5.195
_cell_angle_alpha 90.00
_cell_angle_beta 90.00
_cell_angle_gamma 90.00
loop_
_space_group_symop_operation_xyz
'x,y,z'
'-x,-y,z'
'-x,y,z'
'x,-y,z'
'x+1/2,y+1/2,z'
'-x+1/2,-y+1/2,z'
'-x+1/2,y+1/2,z'
'x+1/2,-y+1/2,z'
loop_
_atom_site_label
_atom_site_fract_x
_atom_site_fract_y
_atom_site_fract_z
Ca1 0.160 0.000 0.000
La1 0.000 0.335 0.977
Al1 0.000 0.140 0.528
Al2 0.147 0.500 0.444
Al3 0.250 0.250 0.481
O1 0.000 0.000 0.676
O2 0.000 0.143 0.192
O3 0.000 0.500 0.302
O4 0.124 0.214 0.679
O5 0.139 0.500 0.780
O6 0.212 0.375 0.288
```

=====

[3]
Compound: LiCaAl3
Source: Materials Project
Functional: GGA-PBE
Structure: relaxed

The structure in CIF format:
```
data_LiCaAl3
_chemical_formula_sum 'Li2 Ca2 Al6'
_space_group_name_H-M_alt 'P 63/m'
_space_group_IT_number 176
_space_group_name_Hall '-P 6c'
_cell_length_a 6.9338
_cell_length_b 6.9338
_cell_length_c 5.2438
_cell_angle_alpha 90.00
_cell_angle_beta 90.00
_cell_angle_gamma 120.00
loop_
_atom_site_label
_atom_site_fract_x
_atom_site_fract_y
_atom_site_fract_z
Li1 0.0000 0.0000 0.2500
Ca1 0.3333 0.6667 0.2500
Al1 0.1841 0.4044 0.7500
```

=====

[4]
Compound: LiCaAlN2
Source: Materials Project
Functional: GGA-PBE
Structure: relaxed

The structure in CIF format:
```
data_LiCaAlN2
_chemical_formula_sum 'Li4 Ca4 Al4 N8'
_space_group_name_H-M_alt 'P 1 21/c 1'
_space_group_IT_number 14
_cell_length_a 5.790
_cell_length_b 6.900
_cell_length_c 5.829
_cell_angle_alpha 90.00
_cell_angle_beta 90.26
_cell_angle_gamma 90.00
loop_
_space_group_symop_operation_xyz
'x,y,z'
'-x,-y,-z'
'-x,y+1/2,-z+1/2'
'x,-y+1/2,z+1/2'
loop_
_atom_site_label
_atom_site_fract_x
_atom_site_fract_y
_atom_site_fract_z
Li1 0.132 0.098 0.092
Ca1 0.473 0.128 0.759
Al1 0.121 0.640 0.073
N1 0.212 0.107 0.435
N2 0.232 0.647 0.393
```

=====

[5]
Compound: CaMg14Al
Source: Materials Project
Functional: GGA-PBE
Structure: relaxed

The structure in CIF format:
```
data_CaMg14Al
_chemical_formula_sum 'Ca2 Mg28 Al2'
_space_group_name_H-M_alt 'A m m 2'
_space_group_IT_number 38
_cell_length_a 10.461
_cell_length_b 6.375
_cell_length_c 11.183
_cell_angle_alpha 90.00
_cell_angle_beta 90.00
_cell_angle_gamma 90.00
loop_
_space_group_symop_operation_xyz
'x,y,z'
'-x,-y,z'
'-x,y,z'
'x,-y,z'
'x,y+1/2,z+1/2'
'-x,-y+1/2,z+1/2'
'-x,y+1/2,z+1/2'
'x,-y+1/2,z+1/2'
loop_
_atom_site_label
_atom_site_fract_x
_atom_site_fract_y
_atom_site_fract_z
Ca1 0.000 0.000 0.000
Mg1 0.000 0.245 0.251
Mg2 0.244 0.000 0.663
Mg3 0.254 0.245 0.415
Mg4 0.258 0.000 0.167
Mg5 0.500 0.000 0.499
Mg6 0.500 0.000 0.998
Mg7 0.500 0.247 0.748
Al1 0.000 0.000 0.491
```

=====

[6]
Compound: CaMg14Al
Source: Materials Project
Functional: GGA-PBE
Structure: relaxed

The structure in CIF format:
```
data_CaMg14Al
_chemical_formula_sum 'Ca1 Mg14 Al1'
_space_group_name_H-M_alt 'P -6 m 2'
_space_group_IT_number 187
_space_group_name_Hall 'P -6 2'
_cell_length_a 6.4271
_cell_length_b 6.4271
_cell_length_c 10.5098
_cell_angle_alpha 90.00
_cell_angle_beta 90.00
_cell_angle_gamma 120.00
loop_
_atom_site_label
_atom_site_fract_x
_atom_site_fract_y
_atom_site_fract_z
Ca1 0.0000 0.0000 0.0000
Mg1 0.0068 0.5034 0.0000
Mg2 0.1668 0.3336 0.2579
Mg3 0.5011 0.0023 0.5000
Mg4 0.6667 0.3333 0.2458
Al1 0.0000 0.0000 0.5000
```

=====

[7]
Compound: NaCaMgAlSi4O12
Source: Materials Project
Functional: GGA-PBE
Structure: relaxed

The structure in CIF format:
```
data_NaCaMgAlSi4O12
_chemical_formula_sum 'Na2 Ca2 Mg2 Al2 Si8 O24'
_space_group_name_H-M_alt 'C 1 2 1'
_space_group_IT_number 5
_cell_length_a 9.699
_cell_length_b 8.850
_cell_length_c 5.319
_cell_angle_alpha 90.00
_cell_angle_beta 107.40
_cell_angle_gamma 90.00
loop_
_space_group_symop_operation_xyz
'x,y,z'
'-x,y,-z'
'x+1/2,y+1/2,z'
'-x+1/2,y+1/2,-z'
loop_
_atom_site_label
_atom_site_fract_x
_atom_site_fract_y
_atom_site_fract_z
Na1 0.000 0.000 0.000
Ca1 0.000 0.400 0.500
Mg1 0.000 0.610 0.000
Al1 0.000 0.799 0.500
Si1 0.210 0.106 0.518
Si2 0.214 0.292 0.029
O1 0.110 0.783 0.861
O2 0.114 0.621 0.403
O3 0.136 0.942 0.448
O4 0.141 0.453 0.939
O5 0.143 0.214 0.249
O6 0.154 0.189 0.750
```

=====

[8]
Compound: NaCaMgAlSi4O12
Source: Materials Project
Functional: GGA-PBE
Structure: relaxed

The structure in CIF format:
```
data_NaCaMgAlSi4O12
_chemical_formula_sum 'Na2 Ca2 Mg2 Al2 Si8 O24'
_space_group_name_H-M_alt 'P 1 c 1'
_space_group_IT_number 7
_cell_length_a 8.921
_cell_length_b 7.956
_cell_length_c 7.584
_cell_angle_alpha 90.00
_cell_angle_beta 103.34
_cell_angle_gamma 90.00
loop_
_space_group_symop_operation_xyz
'x,y,z'
'x,-y,z+1/2'
loop_
_atom_site_label
_atom_site_fract_x
_atom_site_fract_y
_atom_site_fract_z
Na1 0.000 0.189 0.000
Ca1 0.177 0.166 0.623
Mg1 0.747 0.130 0.215
Al1 0.378 0.117 0.106
Si1 0.473 0.368 0.410
Si2 0.523 0.240 0.816
Si3 0.776 0.224 0.608
Si4 0.982 0.472 0.281
O1 0.097 0.463 0.954
O2 0.202 0.062 0.956
O3 0.349 0.290 0.243
O4 0.420 0.064 0.745
O5 0.428 0.325 0.601
O6 0.517 0.436 0.903
O7 0.554 0.160 0.038
O8 0.646 0.261 0.420
O9 0.705 0.209 0.788
O10 0.867 0.052 0.591
O11 0.897 0.384 0.641
O12 0.923 0.286 0.246
```

=====

[9]
Compound: NaCaMgAlSi4O12
Source: Materials Project
Functional: GGA-PBE
Structure: relaxed

The structure in CIF format:
```
data_NaCaMgAlSi4O12
_chemical_formula_sum 'Na2 Ca2 Mg2 Al2 Si8 O24'
_space_group_name_H-M_alt 'P 1 c 1'
_space_group_IT_number 7
_cell_length_a 9.371
_cell_length_b 7.844
_cell_length_c 7.648
_cell_angle_alpha 90.00
_cell_angle_beta 106.75
_cell_angle_gamma 90.00
loop_
_space_group_symop_operation_xyz
'x,y,z'
'x,-y,z+1/2'
loop_
_atom_site_label
_atom_site_fract_x
_atom_site_fract_y
_atom_site_fract_z
Na1 0.000 0.207 0.000
Ca1 0.133 0.151 0.608
Mg1 0.719 0.125 0.192
Al1 0.363 0.112 0.054
Si1 0.491 0.378 0.372
Si2 0.510 0.224 0.769
Si3 0.768 0.212 0.601
Si4 0.939 0.453 0.302
O1 0.053 0.446 0.498
O2 0.178 0.086 0.913
O3 0.376 0.080 0.684
O4 0.376 0.294 0.197
O5 0.459 0.330 0.560
O6 0.525 0.419 0.871
O7 0.535 0.131 0.988
O8 0.666 0.283 0.400
O9 0.675 0.140 0.740
O10 0.872 0.061 0.567
O11 0.874 0.363 0.730
O12 0.876 0.291 0.187
```

=====

[10]
Compound: CaMg2Al6O12
Source: Materials Project
Functional: GGA-PBE
Structure: relaxed

The structure in CIF format:
```
data_CaMg2Al6O12
_chemical_formula_sum 'Ca1 Mg2 Al6 O12'
_space_group_name_H-M_alt 'P -6'
_space_group_IT_number 174
_cell_length_a 8.8332
_cell_length_b 8.8332
_cell_length_c 2.8309
_cell_angle_alpha 90.00
_cell_angle_beta 90.00
_cell_angle_gamma 120.00
loop_
_space_group_symop_operation_xyz
'x,y,z'
'-x+y,-x,-z'
'-y,x-y,z'
'x,y,-z'
'-x+y,-x,z'
'-y,x-y,-z'
loop_
_atom_site_label
_atom_site_fract_x
_atom_site_fract_y
_atom_site_fract_z
Ca1 0.0000 0.0000 0.0000
Mg1 0.3333 0.6667 0.5000
Mg2 0.6667 0.3333 0.0000
Al1 0.0091 0.6547 0.5000
Al2 0.3566 0.0126 0.0000
O1 0.1016 0.2915 0.5000
O2 0.1317 0.5984 0.0000
O3 0.3095 0.2007 0.0000
O4 0.5312 0.1296 0.5000
```

=====

[11]
Compound: Ca3Mg9Al8Si12O48
Source: Materials Project
Functional: GGA-PBE
Structure: relaxed

The structure in CIF format:
```
data_Ca3Mg9Al8Si12O48
_chemical_formula_sum 'Ca6 Mg18 Al16 Si24 O96'
_space_group_name_H-M_alt 'C 1 2 1'
_space_group_IT_number 5
_cell_length_a 16.511
_cell_length_b 11.676
_cell_length_c 11.603
_cell_angle_alpha 90.00
_cell_angle_beta 134.63
_cell_angle_gamma 90.00
loop_
_space_group_symop_operation_xyz
'x,y,z'
'-x,y,-z'
'x+1/2,y+1/2,z'
'-x+1/2,y+1/2,-z'
loop_
_atom_site_label
_atom_site_fract_x
_atom_site_fract_y
_atom_site_fract_z
Ca1 0.000 0.000 0.000
Ca2 0.125 0.126 0.874
Mg1 0.000 0.251 0.500
Mg2 0.000 0.501 0.000
Mg3 0.000 0.750 0.500
Mg4 0.125 0.625 0.375
Mg5 0.249 0.375 0.873
Mg6 0.250 0.376 0.375
Al1 0.002 0.377 0.253
Al2 0.002 0.872 0.253
Al3 0.246 0.626 0.745
Al4 0.248 0.625 0.249
Si1 0.000 0.000 0.500
Si2 0.000 0.255 0.000
Si3 0.000 0.501 0.500
Si4 0.000 0.746 0.000
Si5 0.120 0.625 0.870
Si6 0.129 0.126 0.381
Si7 0.249 0.375 0.624
Si8 0.250 0.375 0.125
O1 0.030 0.529 0.830
O2 0.030 0.721 0.728
O3 0.042 0.026 0.245
O4 0.042 0.225 0.343
O5 0.048 0.407 0.644
O6 0.049 0.345 0.146
O7 0.049 0.834 0.949
O8 0.049 0.908 0.452
O9 0.095 0.593 0.544
O10 0.096 0.656 0.147
O11 0.097 0.093 0.642
O12 0.100 0.167 0.054
O13 0.152 0.920 0.871
O14 0.153 0.331 0.934
O15 0.154 0.426 0.437
O16 0.155 0.825 0.372
O17 0.200 0.779 0.732
O18 0.202 0.278 0.671
O19 0.202 0.472 0.169
O20 0.206 0.972 0.237
O21 0.208 0.575 0.859
O22 0.209 0.675 0.058
O23 0.220 0.175 0.373
O24 0.221 0.076 0.568
```

=====

Which raw total energy belongs to each record? In order, -7.58, -7.57, -2.83, -5.90, -1.76, -1.75, -7.33, -7.03, -7.06, -7.07, -7.30 eV/atom.
Which formation energy belongs to each record? In order, -3.57, -3.57, 0.20, -1.18, 0.00, 0.01, -3.25, -2.96, -2.98, -3.32, -3.30 eV/atom.